1.
Here is a relaxed KBr3 crystal from the Materials Project database. Energies are from meta-GGA r2SCAN.

Output
Energy of formation from the pure elements ... -724 meV per atom
Total energy ... -48.69 eV per formula unit

Cell: 6.412 6.412 7.087 Å, 90.00 90.00 120.00°
Positions (direct):
K: 0.333 0.667 0.250
K: 0.667 0.333 0.750
Br: 0.168 0.335 0.750
Br: 0.168 0.832 0.750
Br: 0.335 0.168 0.250
Br: 0.665 0.832 0.750
Br: 0.832 0.168 0.250
Br: 0.832 0.665 0.250

2.
Here is a relaxed K4MnBr6 crystal from the Materials Project database. Energies are from meta-GGA r2SCAN.

Output
Energy of formation from the pure elements ... -1805 meV per atom
Total energy ... -138.17 eV per formula unit

Cell: 8.968 8.968 8.968 Å, 89.71 89.71 89.71°
Positions (direct):
K: 0.128 0.750 0.372
K: 0.250 0.250 0.250
K: 0.250 0.628 0.872
K: 0.372 0.128 0.750
K: 0.628 0.872 0.250
K: 0.750 0.372 0.128
K: 0.750 0.750 0.750
K: 0.872 0.250 0.628
Mn: 0.000 0.000 0.000
Mn: 0.500 0.500 0.500
Br: 0.057 0.931 0.710
Br: 0.069 0.290 0.943
Br: 0.210 0.431 0.557
Br: 0.290 0.943 0.069
Br: 0.431 0.557 0.210
Br: 0.443 0.790 0.569
Br: 0.557 0.210 0.431
Br: 0.569 0.443 0.790
Br: 0.710 0.057 0.931
Br: 0.790 0.569 0.443
Br: 0.931 0.710 0.057
Br: 0.943 0.069 0.290

3.
Here is a relaxed KMnBr3 crystal from the Materials Project database. Energies are from meta-GGA r2SCAN.

Output
Energy of formation from the pure elements ... -1584 meV per atom
Total energy ... -68.40 eV per formula unit

Cell: 9.332 4.063 15.205 Å, 90.00 90.00 90.00°
Positions (direct):
K: 0.067 0.250 0.177
K: 0.433 0.750 0.677
K: 0.567 0.250 0.323
K: 0.933 0.750 0.823
Mn: 0.165 0.750 0.447
Mn: 0.335 0.250 0.947
Mn: 0.665 0.750 0.053
Mn: 0.835 0.250 0.553
Br: 0.020 0.750 0.602
Br: 0.171 0.750 0.009
Br: 0.216 0.250 0.794
Br: 0.284 0.750 0.294
Br: 0.329 0.250 0.509
Br: 0.480 0.250 0.102
Br: 0.520 0.750 0.898
Br: 0.671 0.750 0.491
Br: 0.716 0.250 0.706
Br: 0.784 0.750 0.206
Br: 0.829 0.250 0.991
Br: 0.980 0.250 0.398

4.
Here is a relaxed K2Nb3Br9 crystal from the Materials Project database. Energies are from meta-GGA r2SCAN.

Output
Energy of formation from the pure elements ... -1343 meV per atom
Total energy ... -224.38 eV per formula unit

Cell: 10.126 10.262 10.264 Å, 117.65 102.58 102.57°
Positions (direct):
K: 0.000 0.000 0.000
K: 0.000 0.322 0.678
K: 0.660 0.541 0.896
K: 0.661 0.219 0.219
Nb: 0.195 0.556 0.403
Nb: 0.195 0.725 0.234
Nb: 0.206 0.888 0.566
Nb: 0.455 0.653 0.331
Nb: 0.466 0.816 0.663
Nb: 0.467 0.985 0.494
Br: 0.006 0.264 0.340
Br: 0.007 0.663 0.941
Br: 0.012 0.650 0.534
Br: 0.013 0.857 0.328
Br: 0.041 0.045 0.723
Br: 0.316 0.364 0.251
Br: 0.317 0.573 0.042
Br: 0.330 0.562 0.656
Br: 0.331 0.979 0.241
Br: 0.345 0.178 0.646
Br: 0.345 0.968 0.855
Br: 0.621 0.497 0.174
Br: 0.649 0.684 0.569
Br: 0.649 0.891 0.363
Br: 0.654 0.878 0.956
Br: 0.655 0.278 0.556
Br: 0.663 0.091 0.770
Br: 0.998 0.450 0.127

5.
Here is a relaxed K2NdBr5 crystal from the Materials Project database. Energies are from meta-GGA r2SCAN.

Output
Energy of formation from the pure elements ... -2131 meV per atom
Total energy ... -124.79 eV per formula unit

Cell: 13.406 9.173 8.476 Å, 90.00 90.00 90.00°
Positions (direct):
K: 0.172 0.004 0.052
K: 0.172 0.496 0.052
K: 0.328 0.504 0.552
K: 0.328 0.996 0.552
K: 0.672 0.004 0.448
K: 0.672 0.496 0.448
K: 0.828 0.504 0.948
K: 0.828 0.996 0.948
Nd: 0.006 0.250 0.579
Nd: 0.494 0.750 0.079
Nd: 0.506 0.250 0.921
Nd: 0.994 0.750 0.421
Br: 0.008 0.250 0.929
Br: 0.078 0.545 0.667
Br: 0.078 0.955 0.667
Br: 0.181 0.250 0.371
Br: 0.207 0.750 0.335
Br: 0.293 0.250 0.835
Br: 0.319 0.750 0.871
Br: 0.422 0.045 0.167
Br: 0.422 0.455 0.167
Br: 0.492 0.750 0.429
Br: 0.508 0.250 0.571
Br: 0.578 0.545 0.833
Br: 0.578 0.955 0.833
Br: 0.681 0.250 0.129
Br: 0.707 0.750 0.165
Br: 0.793 0.250 0.665
Br: 0.819 0.750 0.629
Br: 0.922 0.045 0.333
Br: 0.922 0.455 0.333
Br: 0.992 0.750 0.071

6.
Here is a relaxed K4Br2O crystal from the Materials Project database. Energies are from meta-GGA r2SCAN.

Output
Energy of formation from the pure elements ... -1648 meV per atom
Total energy ... -68.10 eV per formula unit

Cell: 9.016 9.016 9.016 Å, 146.86 146.86 47.57°
Positions (direct):
K: 0.000 0.500 0.500
K: 0.155 0.155 0.000
K: 0.500 0.000 0.500
K: 0.845 0.845 0.000
Br: 0.356 0.356 0.000
Br: 0.644 0.644 0.000
O: 0.000 0.000 0.000

7.
Here is a relaxed KPb2Br5 crystal from the Materials Project database. Energies are from meta-GGA r2SCAN.

Output
Energy of formation from the pure elements ... -1317 meV per atom
Total energy ... -195.42 eV per formula unit

Cell: 9.297 8.453 13.157 Å, 90.00 90.14 90.00°
Positions (direct):
K: 0.009 0.050 0.328
K: 0.009 0.450 0.828
K: 0.991 0.550 0.172
K: 0.991 0.950 0.672
Pb: 0.244 0.569 0.494
Pb: 0.244 0.931 0.994
Pb: 0.486 0.002 0.676
Pb: 0.486 0.498 0.176
Pb: 0.514 0.502 0.824
Pb: 0.514 0.998 0.324
Pb: 0.756 0.069 0.006
Pb: 0.756 0.431 0.506
Br: 0.042 0.180 0.080
Br: 0.042 0.320 0.580
Br: 0.264 0.151 0.812
Br: 0.264 0.349 0.312
Br: 0.264 0.688 0.719
Br: 0.264 0.812 0.219
Br: 0.279 0.540 0.997
Br: 0.279 0.960 0.497
Br: 0.458 0.163 0.100
Br: 0.458 0.337 0.600
Br: 0.542 0.663 0.400
Br: 0.542 0.837 0.900
Br: 0.721 0.040 0.503
Br: 0.721 0.460 0.003
Br: 0.736 0.188 0.781
Br: 0.736 0.312 0.281
Br: 0.736 0.651 0.688
Br: 0.736 0.849 0.188
Br: 0.958 0.680 0.420
Br: 0.958 0.820 0.920

8.
Here is a relaxed K2PdBr6 crystal from the Materials Project database. Energies are from meta-GGA r2SCAN.

Output
Energy of formation from the pure elements ... -1115 meV per atom
Total energy ... -124.58 eV per formula unit

Cell: 7.292 7.292 7.292 Å, 60.00 60.00 60.00°
Positions (direct):
K: 0.250 0.250 0.250
K: 0.750 0.750 0.750
Pd: 0.000 0.000 0.000
Br: 0.241 0.241 0.759
Br: 0.241 0.759 0.241
Br: 0.241 0.759 0.759
Br: 0.759 0.241 0.241
Br: 0.759 0.241 0.759
Br: 0.759 0.759 0.241

9.
Here is a relaxed K2PrBr5 crystal from the Materials Project database. Energies are from meta-GGA r2SCAN.

Output
Energy of formation from the pure elements ... -2132 meV per atom
Total energy ... -124.79 eV per formula unit

Cell: 13.401 9.228 8.486 Å, 90.00 90.00 90.00°
Positions (direct):
K: 0.172 0.005 0.056
K: 0.172 0.495 0.056
K: 0.328 0.505 0.556
K: 0.328 0.995 0.556
K: 0.672 0.005 0.444
K: 0.672 0.495 0.444
K: 0.828 0.505 0.944
K: 0.828 0.995 0.944
Pr: 0.007 0.250 0.580
Pr: 0.493 0.750 0.080
Pr: 0.507 0.250 0.920
Pr: 0.993 0.750 0.420
Br: 0.007 0.250 0.931
Br: 0.078 0.545 0.670
Br: 0.078 0.955 0.670
Br: 0.184 0.250 0.372
Br: 0.208 0.750 0.337
Br: 0.292 0.250 0.837
Br: 0.316 0.750 0.872
Br: 0.422 0.045 0.170
Br: 0.422 0.455 0.170
Br: 0.493 0.750 0.431
Br: 0.507 0.250 0.569
Br: 0.578 0.545 0.830
Br: 0.578 0.955 0.830
Br: 0.684 0.250 0.128
Br: 0.708 0.750 0.163
Br: 0.792 0.250 0.663
Br: 0.816 0.750 0.628
Br: 0.922 0.045 0.330
Br: 0.922 0.455 0.330
Br: 0.993 0.750 0.069

10.
Here is a relaxed K2SeBr6 crystal from the Materials Project database. Energies are from meta-GGA r2SCAN.

Output
Energy of formation from the pure elements ... -1007 meV per atom
Total energy ... -114.97 eV per formula unit

Cell: 7.410 7.410 7.410 Å, 60.00 60.00 60.00°
Positions (direct):
K: 0.250 0.250 0.250
K: 0.750 0.750 0.750
Se: 0.000 0.000 0.000
Br: 0.246 0.246 0.754
Br: 0.246 0.754 0.246
Br: 0.246 0.754 0.754
Br: 0.754 0.246 0.246
Br: 0.754 0.246 0.754
Br: 0.754 0.754 0.246

11.
Here is a relaxed K2SmBr5 crystal from the Materials Project database. Energies are from meta-GGA r2SCAN.

Output
Energy of formation from the pure elements ... -2123 meV per atom
Total energy ... -125.05 eV per formula unit

Cell: 13.369 9.105 8.437 Å, 90.00 90.00 90.00°
Positions (direct):
K: 0.173 0.003 0.054
K: 0.173 0.497 0.054
K: 0.327 0.503 0.554
K: 0.327 0.997 0.554
K: 0.673 0.003 0.446
K: 0.673 0.497 0.446
K: 0.827 0.503 0.946
K: 0.827 0.997 0.946
Sm: 0.006 0.250 0.578
Sm: 0.494 0.750 0.078
Sm: 0.506 0.250 0.922
Sm: 0.994 0.750 0.422
Br: 0.009 0.250 0.926
Br: 0.077 0.544 0.667
Br: 0.077 0.956 0.667
Br: 0.180 0.250 0.373
Br: 0.205 0.750 0.337
Br: 0.295 0.250 0.837
Br: 0.320 0.750 0.873
Br: 0.423 0.044 0.167
Br: 0.423 0.456 0.167
Br: 0.491 0.750 0.426
Br: 0.509 0.250 0.574
Br: 0.577 0.544 0.833
Br: 0.577 0.956 0.833
Br: 0.680 0.250 0.127
Br: 0.705 0.750 0.163
Br: 0.795 0.250 0.663
Br: 0.820 0.750 0.627
Br: 0.923 0.044 0.333
Br: 0.923 0.456 0.333
Br: 0.991 0.750 0.074

12.
Here is a relaxed K2SnBr6 crystal from the Materials Project database. Energies are from meta-GGA r2SCAN.

Output
Distance to the lowest polymorph of the same formula ... 16 meV per atom
Energy of formation from the pure elements ... -1350 meV per atom
Total energy ... -128.49 eV per formula unit

Cell: 7.529 7.529 7.529 Å, 60.00 60.00 60.00°
Positions (direct):
K: 0.250 0.250 0.250
K: 0.750 0.750 0.750
Sn: 0.000 0.000 0.000
Br: 0.245 0.245 0.755
Br: 0.245 0.755 0.245
Br: 0.245 0.755 0.755
Br: 0.755 0.245 0.245
Br: 0.755 0.245 0.755
Br: 0.755 0.755 0.245

13.
Here is a relaxed K2SnBr6 crystal from the Materials Project database. Energies are from meta-GGA r2SCAN.

Output
Distance to the lowest polymorph of the same formula ... 6 meV per atom
Energy of formation from the pure elements ... -1360 meV per atom
Total energy ... -128.57 eV per formula unit

Cell: 7.351 7.351 11.106 Å, 90.00 90.00 90.00°
Positions (direct):
K: 0.000 0.500 0.250
K: 0.000 0.500 0.750
K: 0.500 0.000 0.250
K: 0.500 0.000 0.750
Sn: 0.000 0.000 0.000
Sn: 0.500 0.500 0.500
Br: 0.000 0.000 0.238
Br: 0.000 0.000 0.762
Br: 0.192 0.300 0.000
Br: 0.200 0.308 0.500
Br: 0.300 0.808 0.000
Br: 0.308 0.800 0.500
Br: 0.500 0.500 0.262
Br: 0.500 0.500 0.738
Br: 0.692 0.200 0.500
Br: 0.700 0.192 0.000
Br: 0.800 0.692 0.500
Br: 0.808 0.700 0.000

14.
Here is a relaxed KSn2Br5 crystal from the Materials Project database. Energies are from meta-GGA r2SCAN.

Output
Energy of formation from the pure elements ... -1139 meV per atom
Total energy ... -130.92 eV per formula unit

Cell: 9.474 9.474 9.474 Å, 127.30 127.30 77.76°
Positions (direct):
K: 0.250 0.250 0.000
K: 0.750 0.750 0.000
Sn: 0.179 0.679 0.858
Sn: 0.321 0.179 0.500
Sn: 0.679 0.821 0.500
Sn: 0.821 0.321 0.142
Br: 0.000 0.000 0.000
Br: 0.028 0.199 0.500
Br: 0.199 0.699 0.171
Br: 0.301 0.472 0.500
Br: 0.472 0.972 0.171
Br: 0.500 0.500 0.000
Br: 0.528 0.028 0.829
Br: 0.699 0.528 0.500
Br: 0.801 0.301 0.829
Br: 0.972 0.801 0.500

15.
Here is a relaxed K2SnBr6 crystal from the Materials Project database. Energies are from meta-GGA r2SCAN.

Output
Distance to the lowest polymorph of the same formula ... 0 meV per atom
Energy of formation from the pure elements ... -1366 meV per atom
Total energy ... -128.63 eV per formula unit

Cell: 7.483 7.692 12.873 Å, 90.00 125.06 90.00°
Positions (direct):
K: 0.230 0.062 0.248
K: 0.230 0.438 0.748
K: 0.770 0.562 0.252
K: 0.770 0.938 0.752
Sn: 0.500 0.000 0.000
Sn: 0.500 0.500 0.500
Br: 0.181 0.196 0.964
Br: 0.181 0.304 0.464
Br: 0.273 0.718 0.968
Br: 0.273 0.782 0.468
Br: 0.325 0.008 0.756
Br: 0.325 0.492 0.256
Br: 0.675 0.508 0.744
Br: 0.675 0.992 0.244
Br: 0.727 0.218 0.532
Br: 0.727 0.282 0.032
Br: 0.819 0.696 0.536
Br: 0.819 0.804 0.036